## K3TaF8 (r²SCAN)

Data for a relaxed K3TaF8 crystal.

Lattice parameters (Å, degrees): 8.212 8.212 6.220 90.00 90.00 120.00
Fractional coordinates of all 24 atoms:
F: 0.439 0.561 0.532
F: 0.800 0.600 0.318
F: 0.200 0.400 0.818
F: 0.800 0.200 0.318
F: 0.439 0.877 0.532
F: 0.600 0.800 0.818
F: 0.333 0.667 0.056
F: 0.667 0.333 0.556
F: 0.200 0.800 0.818
F: 0.000 0.000 0.504
F: 0.400 0.200 0.318
F: 0.000 0.000 0.004
F: 0.877 0.439 0.032
F: 0.561 0.439 0.032
F: 0.123 0.561 0.532
F: 0.561 0.123 0.032
Ta: 0.667 0.333 0.240
Ta: 0.333 0.667 0.740
K: 0.154 0.309 0.245
K: 0.846 0.691 0.745
K: 0.154 0.846 0.245
K: 0.846 0.154 0.745
K: 0.309 0.154 0.745
K: 0.691 0.846 0.245

The value obtained for the energy relative to the elements is -3.36 eV/atom. As for the total energy: -263.85 eV for the cell shown. The calculation puts the mass density at 4.117 Mg/m³.